# U r2SCAN optimized geometry
# energy above the lowest structure with this stoichiometry	98	meV/atom
data_U
_chemical_formula_sum 'U30'
_space_group_name_H-M_alt 'P 42/m n m'
_space_group_IT_number 136
_space_group_name_Hall '-P 4n 2n'
_cell_length_a 10.441
_cell_length_b 10.441
_cell_length_c 5.584
_cell_angle_alpha 90.00
_cell_angle_beta 90.00
_cell_angle_gamma 90.00
loop_
_atom_site_label
_atom_site_type_symbol
_atom_site_fract_x
_atom_site_fract_y
_atom_site_fract_z
U1 U 0.000 0.000 0.000
U2 U 0.048 0.366 0.500
U3 U 0.058 0.267 0.000
U4 U 0.109 0.109 0.500
U5 U 0.178 0.822 0.274



DFT (r2SCAN) results for a geometry-optimized Tb12Co5Bi structure.

CIF file:
```
data_Tb12Co5Bi
_chemical_formula_sum 'Tb24 Co10 Bi2'
_space_group_name_H-M_alt 'I m m m'
_space_group_IT_number 71
_space_group_name_Hall '-I 2 2'
_cell_length_a 9.459
_cell_length_b 9.549
_cell_length_c 9.914
_cell_angle_alpha 90.00
_cell_angle_beta 90.00
_cell_angle_gamma 90.00
loop_
_atom_site_label
_atom_site_type_symbol
_atom_site_fract_x
_atom_site_fract_y
_atom_site_fract_z
Tb1 Tb 0.000 0.197 0.207
Tb2 Tb 0.192 0.500 0.190
Tb3 Tb 0.211 0.318 0.500
Co1 Co 0.000 0.000 0.000
Co2 Co 0.000 0.382 0.000
Co3 Co 0.000 0.500 0.391
Bi1 Bi 0.000 0.000 0.500
```



DFT (r2SCAN) results for a geometry-optimized Tm12Os5C15 structure.

CIF file:
```
data_Tm12Os5C15
_chemical_formula_sum 'Tm12 Os5 C15'
_space_group_name_H-M_alt 'P -6 2 m'
_space_group_IT_number 189
_space_group_name_Hall 'P -6 -2'
_cell_length_a 10.5729
_cell_length_b 10.5729
_cell_length_c 4.9552
_cell_angle_alpha 90.00
_cell_angle_beta 90.00
_cell_angle_gamma 120.00
loop_
_atom_site_label
_atom_site_type_symbol
_atom_site_fract_x
_atom_site_fract_y
_atom_site_fract_z
Tm1 Tm 0.0000 0.4386 0.0000
Tm2 Tm 0.0000 0.7928 0.0000
Tm3 Tm 0.1841 0.7284 0.5000
Os1 Os 0.0000 0.1610 0.5000
Os2 Os 0.3333 0.6667 0.0000
C1 C 0.0000 0.3375 0.5000
C2 C 0.0000 0.4637 0.5000
C3 C 0.0000 0.7885 0.5000
C4 C 0.1837 0.7177 0.0000
```



DFT (r2SCAN) results for a geometry-optimized RbAgF3 structure.

CIF file:
```
data_RbAgF3
_chemical_formula_sum 'Rb4 Ag4 F12'
_space_group_name_H-M_alt 'I 4/m c m'
_space_group_IT_number 140
_space_group_name_Hall '-I 4 2c'
_cell_length_a 6.171
_cell_length_b 6.171
_cell_length_c 8.674
_cell_angle_alpha 90.00
_cell_angle_beta 90.00
_cell_angle_gamma 90.00
loop_
_atom_site_label
_atom_site_type_symbol
_atom_site_fract_x
_atom_site_fract_y
_atom_site_fract_z
Rb1 Rb 0.000 0.000 0.250
Ag1 Ag 0.000 0.500 0.000
F1 F 0.000 0.500 0.250
F2 F 0.242 0.258 0.000
```



DFT (r2SCAN) results for a geometry-optimized SrSiO3 structure.

CIF file:
```
data_SrSiO3
_chemical_formula_sum 'Sr6 Si6 O18'
_space_group_name_H-M_alt 'R -3'
_space_group_IT_number 148
_space_group_name_Hall '-R 3'
_cell_length_a 5.0016
_cell_length_b 5.0016
_cell_length_c 16.1803
_cell_angle_alpha 90.00
_cell_angle_beta 90.00
_cell_angle_gamma 120.00
loop_
_atom_site_label
_atom_site_type_symbol
_atom_site_fract_x
_atom_site_fract_y
_atom_site_fract_z
Sr1 Sr 0.0000 0.0000 0.1295
Si1 Si 0.0000 0.0000 0.3366
O1 O 0.0037 0.5858 0.9359
```



DFT (r2SCAN) results for a geometry-optimized Sc2IrRh structure.

CIF file:
```
data_Sc2IrRh
_chemical_formula_sum 'Sc8 Ir4 Rh4'
_space_group_name_H-M_alt 'F m -3 m'
_space_group_IT_number 225
_space_group_name_Hall '-F 4 2 3'
_cell_length_a 6.434
_cell_length_b 6.434
_cell_length_c 6.434
_cell_angle_alpha 90.00
_cell_angle_beta 90.00
_cell_angle_gamma 90.00
loop_
_atom_site_label
_atom_site_type_symbol
_atom_site_fract_x
_atom_site_fract_y
_atom_site_fract_z
Sc1 Sc 0.250 0.250 0.250
Ir1 Ir 0.000 0.000 0.000
Rh1 Rh 0.000 0.000 0.500
```



DFT (r2SCAN) results for a geometry-optimized LuPaOs2 structure.

CIF file:
```
data_LuPaOs2
_chemical_formula_sum 'Lu4 Pa4 Os8'
_space_group_name_H-M_alt 'F m -3 m'
_space_group_IT_number 225
_space_group_name_Hall '-F 4 2 3'
_cell_length_a 6.795
_cell_length_b 6.795
_cell_length_c 6.795
_cell_angle_alpha 90.00
_cell_angle_beta 90.00
_cell_angle_gamma 90.00
loop_
_atom_site_label
_atom_site_type_symbol
_atom_site_fract_x
_atom_site_fract_y
_atom_site_fract_z
Lu1 Lu 0.000 0.000 0.000
Pa1 Pa 0.000 0.000 0.500
Os1 Os 0.250 0.250 0.250
```



DFT (r2SCAN) results for a geometry-optimized NdPO4 structure.

CIF file:
```
data_NdPO4
_chemical_formula_sum 'Nd3 P3 O12'
_space_group_name_H-M_alt 'P 62 2 2'
_space_group_IT_number 180
_space_group_name_Hall 'P 62 2 (0 0 4)'
_cell_length_a 7.1136
_cell_length_b 7.1136
_cell_length_c 6.3511
_cell_angle_alpha 90.00
_cell_angle_beta 90.00
_cell_angle_gamma 120.00
loop_
_atom_site_label
_atom_site_type_symbol
_atom_site_fract_x
_atom_site_fract_y
_atom_site_fract_z
Nd1 Nd 0.0000 0.5000 0.1667
P1 P 0.0000 0.5000 0.6667
O1 O 0.1369 0.4464 0.8150
```



DFT (r2SCAN) results for a geometry-optimized Dy12Co7 structure.

CIF file:
```
data_Dy12Co7
_chemical_formula_sum 'Dy24 Co14'
_space_group_name_H-M_alt 'P 1 21/c 1'
_space_group_IT_number 14
_cell_length_a 8.203
_cell_length_b 11.281
_cell_length_c 11.170
_cell_angle_alpha 90.00
_cell_angle_beta 125.26
_cell_angle_gamma 90.00
loop_
_space_group_symop_operation_xyz
'x,y,z'
'-x,-y,-z'
'-x,y+1/2,-z+1/2'
'x,-y+1/2,z+1/2'
loop_
_atom_site_label
_atom_site_type_symbol
_atom_site_fract_x
_atom_site_fract_y
_atom_site_fract_z
Dy1 Dy 0.001 0.160 0.162
Dy2 Dy 0.233 0.068 0.805
Dy3 Dy 0.251 0.700 0.172
Dy4 Dy 0.265 0.206 0.538
Dy5 Dy 0.269 0.570 0.913
Dy6 Dy 0.334 0.003 0.140
Co1 Co 0.000 0.000 0.500
Co2 Co 0.007 0.601 0.601
Co3 Co 0.409 0.191 0.350
Co4 Co 0.412 0.672 0.477
```



DFT (r2SCAN) results for a geometry-optimized CeP2O7 structure.

CIF file:
```
data_CeP2O7
_chemical_formula_sum 'Ce4 P8 O28'
_space_group_name_H-M_alt 'P a -3'
_space_group_IT_number 205
_space_group_name_Hall '-P 2ac 2ab 3'
_cell_length_a 8.830
_cell_length_b 8.830
_cell_length_c 8.830
_cell_angle_alpha 90.00
_cell_angle_beta 90.00
_cell_angle_gamma 90.00
loop_
_atom_site_label
_atom_site_type_symbol
_atom_site_fract_x
_atom_site_fract_y
_atom_site_fract_z
Ce1 Ce 0.000 0.000 0.000
P1 P 0.103 0.603 0.897
O1 O 0.000 0.000 0.500
O2 O 0.056 0.735 0.427
```



DFT (r2SCAN) results for a geometry-optimized IrF6 structure.

CIF file:
```
data_IrF6
_chemical_formula_sum 'Ir4 F24'
_space_group_name_H-M_alt 'P n m a'
_space_group_IT_number 62
_cell_length_a 9.301
_cell_length_b 8.501
_cell_length_c 4.929
_cell_angle_alpha 90.00
_cell_angle_beta 90.00
_cell_angle_gamma 90.00
loop_
_space_group_symop_operation_xyz
'x,y,z'
'-x,-y,-z'
'-x+1/2,-y,z+1/2'
'x+1/2,y,-z+1/2'
'x+1/2,-y+1/2,-z+1/2'
'-x+1/2,y+1/2,z+1/2'
'-x,y+1/2,-z'
'x,-y+1/2,z'
loop_
_atom_site_label
_atom_site_type_symbol
_atom_site_fract_x
_atom_site_fract_y
_atom_site_fract_z
Ir1 Ir 0.127 0.250 0.090
F1 F 0.010 0.250 0.785
F2 F 0.013 0.096 0.248
F3 F 0.241 0.095 0.934
F4 F 0.245 0.250 0.396
```



# VPO5 r2SCAN optimized geometry
# energy above the lowest structure with this stoichiometry	8	meV/atom
data_VPO5
_chemical_formula_sum 'V4 P4 O20'
_space_group_name_H-M_alt 'P -1'
_space_group_IT_number 2
_cell_length_a 6.998
_cell_length_b 7.274
_cell_length_c 7.291
_cell_angle_alpha 91.43
_cell_angle_beta 90.40
_cell_angle_gamma 116.44
loop_
_space_group_symop_operation_xyz
'x,y,z'
'-x,-y,-z'
loop_
_atom_site_label
_atom_site_type_symbol
_atom_site_fract_x
_atom_site_fract_y
_atom_site_fract_z
V1 V 0.203 0.461 0.270
V2 V 0.295 0.046 0.771
P1 P 0.027 0.761 0.102
P2 P 0.479 0.243 0.396
O1 O 0.005 0.729 0.658
O2 O 0.061 0.103 0.804
O3 O 0.099 0.662 0.251
O4 O 0.150 0.406 0.018
O5 O 0.217 0.893 0.986
O6 O 0.298 0.115 0.525
O7 O 0.334 0.589 0.495
O8 O 0.395 0.342 0.256
O9 O 0.448 0.898 0.706
O10 O 0.488 0.256 0.845



| no. | calculated formation energy (kJ/mol of atoms) | DFT total energy (eV for the cell shown) | magnetization (μB/f.u.) |
| --- | --- | --- | --- |
| 1 | 9.4 | -2395.34 | 0.49 |
| 2 | -23.2 | -1007.42 | 1.38 |
| 3 | -50.5 | -852.34 | 0.96 |
| 4 | -198.0 | -219.70 | 0.00 |
| 5 | -279.3 | -337.87 | 0.00 |
| 6 | -107.6 | -415.02 | 0.00 |
| 7 | -38.1 | -889.95 | 0.00 |
| 8 | -314.5 | -245.60 | 0.00 |
| 9 | -9.2 | -956.45 | 2.36 |
| 10 | -272.2 | -475.44 | 0.00 |
| 11 | -148.0 | -327.41 | 3.00 |
| 12 | -233.4 | -279.55 | 0.00 |